Entry 1:
Ba2AlTlW2O7 | Materials Project | PBE with a Hubbard U | optimized geometry; calculated volume = 17.35 Å³/atom; space group = P4/mmm (123); DFT total energy = -80.1 eV per formula unit
1.0
4.075 0.000 0.000
0.000 4.075 0.000
0.000 0.000 13.586
Ba Al Tl W O
2 1 1 2 7
Direct
0.000 0.000 0.188
0.000 0.000 0.812
0.000 0.000 0.500
0.500 0.500 0.000
0.500 0.500 0.353
0.500 0.500 0.647
0.000 0.000 0.000
0.000 0.500 0.357
0.000 0.500 0.643
0.500 0.000 0.357
0.500 0.000 0.643
0.500 0.500 0.202
0.500 0.500 0.798


Entry 2:
BaAlV4O7 | Materials Project | PBE with a Hubbard U | optimized geometry; calculated volume = 12.77 Å³/atom; space group = P6_3mc (186); DFT total energy = -95.0 eV per formula unit
1.0
5.993 0.000 0.000
-2.996 5.190 0.000
0.000 0.000 10.672
Ba Al V O
2 2 8 14
Direct
0.333 0.667 0.000
0.667 0.333 0.500
0.333 0.667 0.399
0.667 0.333 0.899
0.000 0.000 0.496
0.000 0.000 0.996
0.166 0.332 0.708
0.166 0.834 0.708
0.332 0.166 0.208
0.668 0.834 0.708
0.834 0.166 0.208
0.834 0.668 0.208
0.000 0.000 0.313
0.000 0.000 0.813
0.014 0.507 0.307
0.184 0.368 0.523
0.184 0.816 0.523
0.368 0.184 0.023
0.493 0.507 0.307
0.493 0.986 0.307
0.507 0.014 0.807
0.507 0.493 0.807
0.632 0.816 0.523
0.816 0.184 0.023
0.816 0.632 0.023
0.986 0.493 0.807


Entry 3:
Ba2AlW3O7 | Materials Project | PBE with a Hubbard U | optimized geometry; calculated volume = 15.71 Å³/atom; space group = Pmm2 (25); distance to the lowest polymorph of the same formula = 54.1 meV/atom
1.0
3.908 0.000 0.000
0.000 4.158 0.000
0.000 0.000 12.570
Ba Al W O
2 1 3 7
Direct
0.000 0.000 0.000
0.000 0.000 0.371
0.000 0.000 0.668
0.500 0.500 0.184
0.500 0.500 0.577
0.500 0.500 0.813
0.000 0.500 0.518
0.000 0.500 0.852
0.500 0.000 0.185
0.500 0.000 0.546
0.500 0.000 0.836
0.500 0.500 0.031
0.500 0.500 0.337


Entry 4:
BaAlW4O7 | Materials Project | PBE with a Hubbard U | optimized geometry; calculated volume = 13.83 Å³/atom; space group = P6_3mc (186); DFT total energy = -88.1 eV per formula unit
1.0
6.104 0.000 0.000
-3.052 5.286 0.000
0.000 0.000 11.146
Ba Al W O
2 2 8 14
Direct
0.333 0.667 0.000
0.667 0.333 0.500
0.333 0.667 0.399
0.667 0.333 0.899
0.000 0.000 0.012
0.000 0.000 0.512
0.168 0.337 0.702
0.168 0.832 0.702
0.337 0.168 0.202
0.663 0.832 0.702
0.832 0.168 0.202
0.832 0.663 0.202
0.000 0.000 0.315
0.000 0.000 0.815
0.010 0.505 0.313
0.192 0.383 0.512
0.192 0.808 0.512
0.383 0.192 0.012
0.495 0.505 0.313
0.495 0.990 0.313
0.505 0.010 0.813
0.505 0.495 0.813
0.617 0.808 0.512
0.808 0.192 0.012
0.808 0.617 0.012
0.990 0.495 0.813


Entry 5:
Ba2AlW3O7 | Materials Project | PBE with a Hubbard U | optimized geometry; calculated volume = 14.96 Å³/atom; space group = Pmmm (47); distance to the lowest polymorph of the same formula = 0.0 meV/atom
1.0
3.445 0.000 0.000
0.000 4.161 0.000
0.000 0.000 13.565
Ba Al W O
2 1 3 7
Direct
0.000 0.000 0.190
0.000 0.000 0.810
0.000 0.000 0.500
0.500 0.500 0.000
0.500 0.500 0.406
0.500 0.500 0.594
0.000 0.500 0.325
0.000 0.500 0.675
0.500 0.000 0.000
0.500 0.000 0.377
0.500 0.000 0.623
0.500 0.500 0.141
0.500 0.500 0.859


Entry 6:
Ba2AlW3O8 | Materials Project | PBE with a Hubbard U | optimized geometry; calculated volume = 14.46 Å³/atom; space group = P4/mmm (123); DFT total energy = -94.9 eV per formula unit
1.0
3.967 0.000 0.000
0.000 3.967 0.000
0.000 0.000 12.862
Ba Al W O
2 1 3 8
Direct
0.000 0.000 0.193
0.000 0.000 0.807
0.000 0.000 0.500
0.500 0.500 0.000
0.500 0.500 0.400
0.500 0.500 0.600
0.000 0.500 0.000
0.000 0.500 0.350
0.000 0.500 0.650
0.500 0.000 0.000
0.500 0.000 0.350
0.500 0.000 0.650
0.500 0.500 0.151
0.500 0.500 0.849


Entry 7:
Al2Fe2Bi2O9 | Materials Project | PBE with a Hubbard U | optimized geometry; calculated volume = 13.38 Å³/atom; space group = Pbam (55); distance to the lowest polymorph of the same formula = 0.0 meV/atom
1.0
7.952 0.000 0.000
0.000 8.446 0.000
0.000 0.000 5.975
Al Fe Bi O
4 4 4 18
Direct
0.143 0.158 0.000
0.357 0.658 0.000
0.643 0.342 0.000
0.857 0.842 0.000
0.000 0.500 0.237
0.000 0.500 0.763
0.500 0.000 0.237
0.500 0.000 0.763
0.182 0.820 0.500
0.318 0.320 0.500
0.682 0.680 0.500
0.818 0.180 0.500
0.000 0.000 0.000
0.124 0.283 0.247
0.124 0.283 0.753
0.146 0.589 0.000
0.154 0.559 0.500
0.346 0.059 0.500
0.354 0.089 0.000
0.376 0.783 0.247
0.376 0.783 0.753
0.500 0.500 0.000
0.624 0.217 0.247
0.624 0.217 0.753
0.646 0.911 0.000
0.654 0.941 0.500
0.846 0.441 0.500
0.854 0.411 0.000
0.876 0.717 0.247
0.876 0.717 0.753


Entry 8:
Al2Fe2Bi2O9 | Materials Project | PBE with a Hubbard U | optimized geometry; calculated volume = 13.23 Å³/atom; space group = Pbam (55); distance to the lowest polymorph of the same formula = 28.8 meV/atom
1.0
7.997 0.000 0.000
0.000 8.438 0.000
0.000 0.000 5.884
Al Fe Bi O
4 4 4 18
Direct
0.000 0.000 0.243
0.000 0.000 0.757
0.500 0.500 0.243
0.500 0.500 0.757
0.152 0.334 0.000
0.348 0.834 0.000
0.652 0.166 0.000
0.848 0.666 0.000
0.175 0.669 0.500
0.325 0.169 0.500
0.675 0.831 0.500
0.825 0.331 0.500
0.000 0.500 0.000
0.126 0.197 0.257
0.126 0.197 0.743
0.128 0.913 0.000
0.142 0.930 0.500
0.358 0.430 0.500
0.372 0.413 0.000
0.374 0.697 0.257
0.374 0.697 0.743
0.500 0.000 0.000
0.626 0.303 0.257
0.626 0.303 0.743
0.628 0.587 0.000
0.642 0.570 0.500
0.858 0.070 0.500
0.872 0.087 0.000
0.874 0.803 0.257
0.874 0.803 0.743


Entry 9:
MnAlBiO5 | Materials Project | PBE with a Hubbard U | optimized geometry; calculated volume = 11.53 Å³/atom; space group = Pbam (55); DFT total energy = -54.7 eV per formula unit
1.0
7.487 0.000 0.000
0.000 8.531 0.000
0.000 0.000 5.777
Mn Al Bi O
4 4 4 20
Direct
0.000 0.000 0.243
0.000 0.000 0.757
0.500 0.500 0.243
0.500 0.500 0.757
0.112 0.358 0.000
0.388 0.858 0.000
0.612 0.142 0.000
0.888 0.642 0.000
0.141 0.665 0.500
0.359 0.165 0.500
0.641 0.835 0.500
0.859 0.335 0.500
0.000 0.500 0.208
0.000 0.500 0.792
0.109 0.207 0.241
0.109 0.207 0.759
0.155 0.925 0.000
0.155 0.945 0.500
0.345 0.425 0.000
0.345 0.445 0.500
0.391 0.707 0.241
0.391 0.707 0.759
0.500 0.000 0.208
0.500 0.000 0.792
0.609 0.293 0.241
0.609 0.293 0.759
0.655 0.555 0.500
0.655 0.575 0.000
0.845 0.055 0.500
0.845 0.075 0.000
0.891 0.793 0.241
0.891 0.793 0.759


Entry 10:
AlCoP2C2N2O8 | Materials Project | PBE with a Hubbard U | optimized geometry; calculated volume = 15.27 Å³/atom; space group = P2_1/c (14); DFT total energy = -116.6 eV per formula unit
1.0
8.680 0.000 0.000
0.000 15.323 0.000
-2.755 0.000 7.346
Al Co P C N O
4 4 8 8 8 32
Direct
0.244 0.028 0.007
0.244 0.472 0.507
0.756 0.528 0.493
0.756 0.972 0.993
0.299 0.741 0.005
0.299 0.759 0.505
0.701 0.241 0.495
0.701 0.259 0.995
0.092 0.623 0.655
0.092 0.877 0.155
0.418 0.616 0.380
0.418 0.884 0.880
0.582 0.116 0.120
0.582 0.384 0.620
0.908 0.123 0.845
0.908 0.377 0.345
0.171 0.150 0.442
0.171 0.350 0.942
0.336 0.161 0.482
0.336 0.339 0.982
0.664 0.661 0.018
0.664 0.839 0.518
0.829 0.650 0.058
0.829 0.850 0.558
0.029 0.141 0.398
0.029 0.359 0.898
0.475 0.174 0.507
0.475 0.326 0.007
0.525 0.674 0.993
0.525 0.826 0.493
0.971 0.641 0.102
0.971 0.859 0.602
0.095 0.106 0.892
0.095 0.394 0.392
0.116 0.685 0.515
0.116 0.815 0.015
0.162 0.660 0.852
0.162 0.840 0.352
0.177 0.534 0.657
0.177 0.966 0.157
0.299 0.538 0.351
0.299 0.962 0.851
0.338 0.691 0.246
0.338 0.809 0.746
0.422 0.084 0.143
0.422 0.416 0.643
0.450 0.659 0.569
0.450 0.841 0.069
0.550 0.159 0.931
0.550 0.341 0.431
0.578 0.584 0.357
0.578 0.916 0.857
0.662 0.191 0.254
0.662 0.309 0.754
0.701 0.038 0.149
0.701 0.462 0.649
0.823 0.034 0.843
0.823 0.466 0.343
0.838 0.160 0.648
0.838 0.340 0.148
0.884 0.185 0.985
0.884 0.315 0.485
0.905 0.606 0.608
0.905 0.894 0.108


Entry 11:
AlVP2CNO9 | Materials Project | PBE with a Hubbard U | optimized geometry; calculated volume = 16.04 Å³/atom; space group = P-1 (2); DFT total energy = -109.4 eV per formula unit
1.0
7.922 0.000 0.000
0.937 8.230 0.000
3.947 2.860 7.380
Al V P C N O
2 2 4 2 2 18
Direct
0.082 0.261 0.467
0.918 0.739 0.533
0.447 0.269 0.811
0.553 0.731 0.189
0.232 0.497 0.586
0.244 0.025 0.222
0.756 0.975 0.778
0.768 0.503 0.414
0.309 0.788 0.798
0.691 0.212 0.202
0.172 0.721 0.931
0.828 0.279 0.069
0.038 0.578 0.637
0.083 0.882 0.324
0.216 0.145 0.327
0.235 0.356 0.510
0.249 0.132 0.035
0.263 0.414 0.759
0.390 0.641 0.446
0.437 0.944 0.195
0.452 0.634 0.123
0.548 0.366 0.877
0.563 0.056 0.805
0.610 0.359 0.554
0.737 0.586 0.241
0.751 0.868 0.965
0.765 0.644 0.490
0.784 0.855 0.673
0.917 0.118 0.676
0.962 0.422 0.363


Entry 12:
CaCeAl2FeSi3O13 | Materials Project | PBE with a Hubbard U | optimized geometry; calculated volume = 11.43 Å³/atom; space group = P2_1/m (11); DFT total energy = -161.5 eV per formula unit
1.0
8.972 0.000 0.000
0.000 5.771 0.000
-4.349 0.000 9.270
Ca Ce Al Fe Si O
2 2 4 2 6 26
Direct
0.118 0.250 0.351
0.882 0.750 0.649
0.304 0.750 0.937
0.696 0.250 0.063
0.000 0.000 0.000
0.000 0.500 0.000
0.500 0.000 0.500
0.500 0.500 0.500
0.430 0.250 0.725
0.570 0.750 0.275
0.086 0.250 0.768
0.206 0.750 0.544
0.363 0.250 0.173
0.637 0.750 0.827
0.794 0.250 0.456
0.914 0.750 0.232
0.016 0.750 0.410
0.035 0.017 0.831
0.035 0.483 0.831
0.150 0.750 0.052
0.160 0.250 0.088
0.177 0.750 0.691
0.283 0.250 0.821
0.298 0.510 0.532
0.298 0.990 0.532
0.400 0.250 0.347
0.433 0.750 0.380
0.445 0.026 0.127
0.445 0.474 0.127
0.555 0.526 0.873
0.555 0.974 0.873
0.567 0.250 0.620
0.600 0.750 0.653
0.702 0.010 0.468
0.702 0.490 0.468
0.717 0.750 0.179
0.823 0.250 0.309
0.840 0.750 0.912
0.850 0.250 0.948
0.965 0.517 0.169
0.965 0.983 0.169
0.984 0.250 0.590